Y10W2O21 after structural relaxation. Source: the Materials Project, functional PBE with a Hubbard U.

```
data_Y10W2O21
_chemical_formula_sum 'Y40 W8 O84'
_cell_length_a 16.087
_cell_length_b 10.644
_cell_length_c 10.723
_cell_angle_alpha 90.00
_cell_angle_beta 90.00
_cell_angle_gamma 90.00
_symmetry_space_group_name_H-M 'P b c n'
_symmetry_Int_Tables_number 60
_symmetry_space_group_name_Hall '-P 2n 2ab'
loop_
_atom_site_label
_atom_site_type_symbol
_atom_site_fract_x
_atom_site_fract_y
_atom_site_fract_z
_atom_site_occupancy
Y1 Y 0.080 0.012 0.135 1
Y2 Y 0.089 0.479 0.611 1
Y3 Y 0.099 0.250 0.844 1
Y4 Y 0.229 0.249 0.128 1
Y5 Y 0.243 0.486 0.360 1
W1 W 0.086 0.252 0.377 1
O1 O 0.000 0.113 0.750 1
O2 O 0.000 0.191 0.250 1
O3 O 0.000 0.380 0.750 1
O4 O 0.012 0.376 0.445 1
O5 O 0.041 0.122 0.478 1
O6 O 0.133 0.371 0.252 1
O7 O 0.157 0.130 0.287 1
O8 O 0.159 0.115 0.994 1
O9 O 0.170 0.312 0.484 1
O10 O 0.171 0.393 0.991 1
O11 O 0.178 0.120 0.716 1
O12 O 0.179 0.378 0.730 1
```

Calculated values
As for the formation energy: -3607.8 meV per atom.